# 1
DFT (GGA+U) results for CaCu2Mo2O8 after structural relaxation.

a b c (Å): 6.759 9.009 13.198
angles (deg): 90.00 91.16 90.00
Element x y z (fractional)
Ca: 0.123 0.165 0.454
Ca: 0.123 0.335 0.954
Ca: 0.877 0.665 0.046
Ca: 0.877 0.835 0.546
Cu: 0.233 0.688 0.857
Cu: 0.233 0.812 0.357
Cu: 0.389 0.050 0.877
Cu: 0.389 0.450 0.377
Cu: 0.611 0.550 0.623
Cu: 0.611 0.950 0.123
Cu: 0.767 0.188 0.643
Cu: 0.767 0.312 0.143
Mo: 0.094 0.042 0.155
Mo: 0.094 0.458 0.655
Mo: 0.394 0.579 0.137
Mo: 0.394 0.921 0.637
Mo: 0.606 0.079 0.363
Mo: 0.606 0.421 0.863
Mo: 0.906 0.542 0.345
Mo: 0.906 0.958 0.845
O: 0.022 0.228 0.111
O: 0.022 0.272 0.611
O: 0.091 0.093 0.890
O: 0.091 0.407 0.390
O: 0.123 0.033 0.291
O: 0.123 0.467 0.791
O: 0.189 0.568 0.045
O: 0.189 0.932 0.545
O: 0.312 0.617 0.264
O: 0.312 0.883 0.764
O: 0.330 0.502 0.604
O: 0.330 0.998 0.104
O: 0.435 0.222 0.400
O: 0.435 0.278 0.900
O: 0.487 0.598 0.867
O: 0.487 0.902 0.367
O: 0.513 0.098 0.633
O: 0.513 0.402 0.133
O: 0.565 0.722 0.100
O: 0.565 0.778 0.600
O: 0.670 0.002 0.896
O: 0.670 0.498 0.396
O: 0.688 0.117 0.236
O: 0.688 0.383 0.736
O: 0.811 0.068 0.455
O: 0.811 0.432 0.955
O: 0.877 0.533 0.209
O: 0.877 0.967 0.709
O: 0.909 0.593 0.610
O: 0.909 0.907 0.110
O: 0.978 0.728 0.389
O: 0.978 0.772 0.889



# 2
DFT (GGA+U) results for Li2Fe3BiO8 after structural relaxation.

a b c (Å): 8.699 8.720 8.729
angles (deg): 90.47 90.18 90.41
Element x y z (fractional)
Li: 0.000 0.000 0.000
Li: 0.000 0.498 0.498
Li: 0.243 0.249 0.746
Li: 0.245 0.747 0.244
Li: 0.500 0.499 0.005
Li: 0.501 0.997 0.502
Li: 0.747 0.753 0.748
Li: 0.751 0.250 0.245
Fe: 0.106 0.620 0.859
Fe: 0.122 0.860 0.607
Fe: 0.141 0.108 0.375
Fe: 0.362 0.611 0.625
Fe: 0.371 0.364 0.389
Fe: 0.388 0.127 0.142
Fe: 0.605 0.372 0.643
Fe: 0.620 0.133 0.884
Fe: 0.640 0.887 0.125
Fe: 0.855 0.388 0.876
Fe: 0.875 0.640 0.108
Fe: 0.891 0.875 0.357
Bi: 0.122 0.374 0.123
Bi: 0.372 0.873 0.875
Bi: 0.628 0.625 0.372
Bi: 0.875 0.124 0.623
O: 0.094 0.385 0.868
O: 0.113 0.629 0.092
O: 0.123 0.879 0.379
O: 0.128 0.862 0.850
O: 0.129 0.096 0.611
O: 0.144 0.627 0.629
O: 0.153 0.349 0.384
O: 0.156 0.120 0.137
O: 0.354 0.624 0.852
O: 0.365 0.589 0.402
O: 0.365 0.838 0.625
O: 0.372 0.388 0.614
O: 0.373 0.138 0.372
O: 0.382 0.361 0.164
O: 0.395 0.123 0.894
O: 0.397 0.886 0.120
O: 0.582 0.608 0.634
O: 0.591 0.365 0.404
O: 0.612 0.136 0.664
O: 0.617 0.120 0.103
O: 0.621 0.906 0.882
O: 0.622 0.356 0.873
O: 0.636 0.652 0.118
O: 0.647 0.881 0.358
O: 0.837 0.380 0.637
O: 0.844 0.149 0.881
O: 0.868 0.402 0.110
O: 0.868 0.870 0.128
O: 0.878 0.619 0.876
O: 0.879 0.638 0.348
O: 0.891 0.866 0.598
O: 0.904 0.113 0.368

Summary:
The calculation puts the energy above the most stable polymorph in this dataset at 0.068 eV per atom.



# 3
DFT (GGA+U) results for CaVAs2O7 after structural relaxation.

a b c (Å): 8.136 8.579 10.653
angles (deg): 90.00 119.27 90.00
Element x y z (fractional)
Ca: 0.241 0.068 0.095
Ca: 0.241 0.432 0.595
Ca: 0.759 0.568 0.405
Ca: 0.759 0.932 0.905
V: 0.299 0.063 0.716
V: 0.299 0.437 0.216
V: 0.701 0.563 0.784
V: 0.701 0.937 0.284
As: 0.052 0.738 0.750
As: 0.052 0.762 0.250
As: 0.452 0.684 0.044
As: 0.452 0.816 0.544
As: 0.548 0.184 0.456
As: 0.548 0.316 0.956
As: 0.948 0.238 0.750
As: 0.948 0.262 0.250
O: 0.056 0.612 0.628
O: 0.056 0.888 0.128
O: 0.133 0.579 0.243
O: 0.133 0.921 0.743
O: 0.170 0.250 0.268
O: 0.170 0.250 0.768
O: 0.187 0.681 0.931
O: 0.187 0.819 0.431
O: 0.261 0.165 0.571
O: 0.261 0.335 0.071
O: 0.462 0.599 0.201
O: 0.462 0.901 0.701
O: 0.473 0.615 0.607
O: 0.473 0.885 0.107
O: 0.527 0.115 0.893
O: 0.527 0.385 0.393
O: 0.538 0.099 0.299
O: 0.538 0.401 0.799
O: 0.739 0.665 0.929
O: 0.739 0.835 0.429
O: 0.813 0.181 0.569
O: 0.813 0.319 0.069
O: 0.830 0.750 0.232
O: 0.830 0.750 0.732
O: 0.867 0.079 0.257
O: 0.867 0.421 0.757
O: 0.944 0.112 0.872
O: 0.944 0.388 0.372



# 4
DFT (GGA+U) results for VBP2NO9 after structural relaxation.

a b c (Å): 9.477 8.413 9.566
angles (deg): 90.00 104.25 90.00
Element x y z (fractional)
V: 0.216 0.131 0.436
V: 0.216 0.369 0.936
V: 0.784 0.631 0.064
V: 0.784 0.869 0.564
B: 0.332 0.559 0.196
B: 0.332 0.941 0.696
B: 0.668 0.059 0.304
B: 0.668 0.441 0.804
P: 0.082 0.066 0.709
P: 0.082 0.434 0.209
P: 0.421 0.245 0.223
P: 0.421 0.255 0.723
P: 0.579 0.745 0.277
P: 0.579 0.755 0.777
P: 0.918 0.566 0.791
P: 0.918 0.934 0.291
N: 0.178 0.598 0.555
N: 0.178 0.902 0.055
N: 0.822 0.098 0.945
N: 0.822 0.402 0.445
O: 0.073 0.003 0.311
O: 0.073 0.497 0.811
O: 0.094 0.154 0.568
O: 0.094 0.346 0.068
O: 0.115 0.178 0.837
O: 0.115 0.322 0.337
O: 0.191 0.577 0.232
O: 0.191 0.923 0.732
O: 0.302 0.530 0.036
O: 0.302 0.970 0.536
O: 0.337 0.135 0.304
O: 0.337 0.365 0.804
O: 0.357 0.227 0.060
O: 0.357 0.273 0.560
O: 0.414 0.080 0.770
O: 0.414 0.420 0.270
O: 0.415 0.703 0.235
O: 0.415 0.797 0.735
O: 0.585 0.203 0.265
O: 0.585 0.297 0.765
O: 0.586 0.580 0.730
O: 0.586 0.920 0.230
O: 0.643 0.727 0.440
O: 0.643 0.773 0.940
O: 0.663 0.635 0.196
O: 0.663 0.865 0.696
O: 0.698 0.030 0.464
O: 0.698 0.470 0.964
O: 0.809 0.077 0.268
O: 0.809 0.423 0.768
O: 0.885 0.678 0.663
O: 0.885 0.822 0.163
O: 0.906 0.654 0.932
O: 0.906 0.846 0.432
O: 0.927 0.503 0.189
O: 0.927 0.997 0.689



# 5
DFT (GGA+U) results for Co2S3O12 after structural relaxation.

a b c (Å): 11.833 8.537 8.450
angles (deg): 90.00 90.00 90.00
Element x y z (fractional)
Co: 0.122 0.250 0.031
Co: 0.122 0.750 0.531
Co: 0.378 0.250 0.531
Co: 0.378 0.750 0.031
Co: 0.622 0.250 0.969
Co: 0.622 0.750 0.469
Co: 0.878 0.250 0.469
Co: 0.878 0.750 0.969
S: 0.000 0.039 0.750
S: 0.000 0.961 0.250
S: 0.145 0.397 0.394
S: 0.145 0.603 0.894
S: 0.355 0.103 0.894
S: 0.355 0.897 0.394
S: 0.500 0.461 0.250
S: 0.500 0.539 0.750
S: 0.645 0.103 0.606
S: 0.645 0.897 0.106
S: 0.855 0.397 0.106
S: 0.855 0.603 0.606
O: 0.027 0.359 0.431
O: 0.027 0.641 0.931
O: 0.063 0.059 0.135
O: 0.063 0.941 0.635
O: 0.084 0.138 0.830
O: 0.084 0.862 0.330
O: 0.161 0.428 0.896
O: 0.161 0.572 0.396
O: 0.180 0.341 0.237
O: 0.180 0.659 0.737
O: 0.219 0.329 0.519
O: 0.219 0.671 0.019
O: 0.281 0.171 0.019
O: 0.281 0.829 0.519
O: 0.320 0.159 0.737
O: 0.320 0.841 0.237
O: 0.339 0.072 0.396
O: 0.339 0.928 0.896
O: 0.416 0.362 0.330
O: 0.416 0.638 0.830
O: 0.437 0.441 0.635
O: 0.437 0.559 0.135
O: 0.473 0.141 0.931
O: 0.473 0.859 0.431
O: 0.527 0.141 0.569
O: 0.527 0.859 0.069
O: 0.563 0.441 0.865
O: 0.563 0.559 0.365
O: 0.584 0.362 0.170
O: 0.584 0.638 0.670
O: 0.661 0.072 0.104
O: 0.661 0.928 0.604
O: 0.680 0.159 0.763
O: 0.680 0.841 0.263
O: 0.719 0.171 0.481
O: 0.719 0.829 0.981
O: 0.781 0.329 0.981
O: 0.781 0.671 0.481
O: 0.820 0.341 0.263
O: 0.820 0.659 0.763
O: 0.839 0.428 0.604
O: 0.839 0.572 0.104
O: 0.916 0.138 0.670
O: 0.916 0.862 0.170
O: 0.937 0.059 0.365
O: 0.937 0.941 0.865
O: 0.973 0.359 0.069
O: 0.973 0.641 0.569

Summary:
The calculation puts the energy above the most stable polymorph in this dataset at 0.063 eV per atom.



# 6
DFT (GGA+U) results for Li9Mn2Co5O16 after structural relaxation.

a b c (Å): 19.355 19.355 5.187
angles (deg): 91.13 91.13 8.59
Element x y z (fractional)
Li: 0.000 0.000 0.000
Li: 0.129 0.129 0.381
Li: 0.188 0.188 0.057
Li: 0.248 0.248 0.729
Li: 0.374 0.374 0.121
Li: 0.500 0.500 0.489
Li: 0.629 0.629 0.878
Li: 0.748 0.748 0.236
Li: 0.874 0.874 0.612
Mn: 0.438 0.438 0.805
Mn: 0.564 0.564 0.184
Co: 0.063 0.063 0.685
Co: 0.312 0.312 0.428
Co: 0.688 0.688 0.556
Co: 0.812 0.812 0.928
Co: 0.937 0.937 0.305
O: 0.035 0.035 0.318
O: 0.093 0.093 0.046
O: 0.160 0.160 0.698
O: 0.215 0.215 0.413
O: 0.283 0.283 0.082
O: 0.341 0.341 0.776
O: 0.408 0.408 0.440
O: 0.468 0.468 0.169
O: 0.535 0.535 0.818
O: 0.591 0.591 0.551
O: 0.661 0.661 0.264
O: 0.715 0.715 0.846
O: 0.784 0.784 0.581
O: 0.841 0.841 0.273
O: 0.909 0.909 0.953
O: 0.966 0.966 0.659

Summary:
The calculation puts the energy above the most stable polymorph in this dataset at 0.066 eV per atom.



no.,ΔH_f (0 K) (meV/atom),size of the total moment (μB/cell)
1,-1906,0.00
2,-1677,51.01
3,-2249,4.00
4,-2025,12.01
5,-1502,0.00
6,-1798,11.61